# GGA-PBE Na7Sc3ZnSi3S3O24, relaxed
data_Na7Sc3ZnSi3S3O24
_cell_length_a 9.145
_cell_length_b 9.189
_cell_length_c 22.424
_cell_angle_alpha 89.93
_cell_angle_beta 89.79
_cell_angle_gamma 60.38
_symmetry_space_group_name_H-M 'P 1'
_symmetry_Int_Tables_number 1
loop_
_symmetry_equiv_pos_as_xyz
'x,y,z'
loop_
_atom_site_label
_atom_site_type_symbol
_atom_site_fract_x
_atom_site_fract_y
_atom_site_fract_z
Na1 Na 0.000 0.000 0.000
Na2 Na 0.003 0.684 0.582
Na3 Na 0.028 0.663 0.081
Na4 Na 0.052 0.968 0.662
Na5 Na 0.059 0.341 0.171
Na6 Na 0.316 0.695 0.168
Na7 Na 0.329 0.337 0.666
Na8 Na 0.330 0.390 0.007
Na9 Na 0.338 0.020 0.256
Na10 Na 0.351 0.645 0.492
Na11 Na 0.363 0.995 0.748
Na12 Na 0.364 0.325 0.331
Na13 Na 0.393 0.674 0.836
Na14 Na 0.655 0.024 0.827
Na15 Na 0.658 0.660 0.345
Na16 Na 0.665 0.725 0.667
Na17 Na 0.696 0.350 0.414
Na18 Na 0.704 0.358 0.918
Na19 Na 0.719 0.986 0.506
Na20 Na 0.723 0.632 0.990
Na21 Na 0.975 0.391 0.491
Sc1 Sc 0.000 0.684 0.733
Sc2 Sc 0.033 0.659 0.237
Sc3 Sc 0.340 0.017 0.102
Sc4 Sc 0.345 0.000 0.902
Sc5 Sc 0.346 0.992 0.397
Sc6 Sc 0.669 0.350 0.065
Sc7 Sc 0.670 0.350 0.569
Sc8 Sc 0.673 0.340 0.273
Sc9 Sc 0.675 0.355 0.768
Zn1 Zn 0.012 0.659 0.425
Zn2 Zn 0.019 0.649 0.937
Zn3 Zn 0.384 0.977 0.604
Si1 Si 0.017 0.368 0.335
Si2 Si 0.051 0.301 0.003
Si3 Si 0.310 0.673 0.337
Si4 Si 0.344 0.711 0.002
Si5 Si 0.378 0.641 0.669
Si6 Si 0.385 0.334 0.169
Si7 Si 0.657 0.705 0.502
Si8 Si 0.680 0.050 0.669
Si9 Si 0.718 0.673 0.838
S1 S 0.014 0.970 0.836
S2 S 0.053 0.012 0.505
S3 S 0.313 0.375 0.835
S4 S 0.352 0.295 0.504
S5 S 0.641 0.009 0.001
S6 S 0.682 0.636 0.169
S7 S 0.724 0.967 0.337
S8 S 0.973 0.044 0.167
S9 S 0.977 0.340 0.668
O1 O 0.030 0.488 0.001
O2 O 0.035 0.860 0.501
O3 O 0.036 0.864 0.782
O4 O 0.044 0.464 0.278
O5 O 0.141 0.031 0.452
O6 O 0.145 0.191 0.663
O7 O 0.147 0.023 0.166
O8 O 0.147 0.999 0.561
O9 O 0.152 0.176 0.947
O10 O 0.164 0.215 0.063
O11 O 0.171 0.983 0.837
O12 O 0.173 0.696 0.996
O13 O 0.195 0.510 0.170
O14 O 0.196 0.191 0.342
O15 O 0.196 0.647 0.675
O16 O 0.203 0.693 0.276
O17 O 0.208 0.469 0.502
O18 O 0.214 0.459 0.781
O19 O 0.222 0.648 0.397
O20 O 0.239 0.476 0.890
O21 O 0.322 0.825 0.061
O22 O 0.331 0.216 0.559
O23 O 0.336 0.204 0.839
O24 O 0.348 0.831 0.338
O25 O 0.350 0.831 0.666
O26 O 0.356 0.171 0.167
O27 O 0.366 0.197 0.450
O28 O 0.380 0.796 0.943
O29 O 0.470 0.523 0.610
O30 O 0.477 0.359 0.110
O31 O 0.487 0.356 0.831
O32 O 0.493 0.323 0.228
O33 O 0.500 0.501 0.333
O34 O 0.501 0.551 0.726
O35 O 0.507 0.039 0.668
O36 O 0.513 0.304 0.506
O37 O 0.514 0.523 0.006
O38 O 0.525 0.801 0.164
O39 O 0.529 0.848 0.838
O40 O 0.530 0.800 0.445
O41 O 0.543 0.033 0.946
O42 O 0.551 0.985 0.340
O43 O 0.553 0.988 0.053
O44 O 0.583 0.813 0.563
O45 O 0.657 0.163 0.007
O46 O 0.662 0.551 0.222
O47 O 0.666 0.161 0.729
O48 O 0.673 0.516 0.505
O49 O 0.688 0.510 0.834
O50 O 0.699 0.139 0.330
O51 O 0.708 0.531 0.114
O52 O 0.714 0.135 0.610
O53 O 0.810 0.858 0.285
O54 O 0.811 0.696 0.779
O55 O 0.812 0.862 0.999
O56 O 0.815 0.898 0.393
O57 O 0.821 0.661 0.898
O58 O 0.832 0.657 0.173
O59 O 0.846 0.688 0.495
O60 O 0.847 0.858 0.673
O61 O 0.850 0.348 0.325
O62 O 0.863 0.138 0.830
O63 O 0.865 0.313 0.007
O64 O 0.873 0.368 0.613
O65 O 0.882 0.165 0.506
O66 O 0.883 0.124 0.111
O67 O 0.887 0.153 0.219
O68 O 0.892 0.318 0.720
O69 O 0.970 0.485 0.395
O70 O 0.990 0.875 0.172
O71 O 0.993 0.892 0.890
O72 O 0.995 0.493 0.674
# DFT total energy, eV/atom: -6.58
# Total magnetic moment, μB/f.u.: 0.00
# DFT formation energy, eV/f.u.: -109.2
# V, Å³ per atom: 13.32